1.
A plane-wave DFT calculation with GGA-PBE was carried out for In12Se19N2 after structural relaxation.

Unit cell a=13.9344 b=13.9344 c=18.1483 alpha=90.00 beta=90.00 gamma=120.00
Space group R-3 (No. 148, hexagonal axes)
Inequivalent atoms, fractional coordinates:
In 0.0170 0.4609 0.1842
In 0.0674 0.5606 0.5926
Se 0.0000 0.0000 0.0000
Se 0.0020 0.4206 0.7045
Se 0.0379 0.1895 0.8083
Se 0.0656 0.8159 0.4103
N 0.0000 0.0000 0.3426

Properties
- Formation energy: -0.04 eV per atom
- Volume: 30.83 Å³ per atom
- Corrected total energy (MP2020 scheme): -3.560 eV per atom
- Total magnetic moment: 0.6 Bohr magnetons per cell
- E: -3.538 eV per atom

2.
A plane-wave DFT calculation with GGA-PBE was carried out for In5Si2N6 after structural relaxation.

Unit cell a=9.3242 b=7.3459 c=11.8274 alpha=90.00 beta=97.42 gamma=90.00
Space group C2/c (No. 15)
Inequivalent atoms, fractional coordinates:
In 0.0000 0.0438 0.2500
In 0.0845 0.2484 0.0064
In 0.1531 0.4442 0.7050
Si 0.2228 0.3606 0.4174
N 0.0760 0.4939 0.8766
N 0.1701 0.1358 0.6956
N 0.2037 0.1176 0.4352

Properties
- Formation energy: -0.13 eV per atom
- Volume: 15.45 Å³ per atom
- Corrected total energy (MP2020 scheme): -5.867 eV per atom
- E: -5.700 eV per atom

3.
A plane-wave DFT calculation with GGA-PBE was carried out for In7SiN6 after structural relaxation.

Unit cell a=10.6043 b=7.4417 c=12.2057 alpha=90.00 beta=90.00 gamma=90.00
Space group Pbcn (No. 60)
Inequivalent atoms, fractional coordinates:
In 0.0000 0.1297 0.2500
In 0.0243 0.2681 0.5199
In 0.2184 0.0620 0.6691
In 0.2220 0.1449 0.9124
Si 0.0000 0.4800 0.7500
N 0.0757 0.3707 0.3468
N 0.1185 0.3683 0.6760
N 0.2015 0.1118 0.4968

Properties
- Formation energy: 0.09 eV per atom
- Volume: 17.20 Å³ per atom
- Corrected total energy (MP2020 scheme): -5.249 eV per atom
- Total magnetic moment: 0.0 Bohr magnetons per cell
- E: -5.094 eV per atom

4.
A plane-wave DFT calculation with GGA-PBE was carried out for In3Si6N11 after structural relaxation.

Unit cell a=9.8453 b=9.8453 c=4.9248 alpha=90.00 beta=90.00 gamma=90.00
Space group P4bm (No. 100)
Inequivalent atoms, fractional coordinates:
In 0.0000 0.0000 0.0000
In 0.1797 0.3203 0.9704
Si 0.0820 0.7915 0.5516
Si 0.1224 0.6224 0.0615
N 0.0000 0.5000 0.1069
N 0.0783 0.1832 0.6792
N 0.0888 0.7843 0.1991
N 0.1469 0.6469 0.7097

Properties
- Formation energy: -0.71 eV per atom
- Volume: 11.93 Å³ per atom
- Corrected total energy (MP2020 scheme): -7.340 eV per atom
- Total magnetic moment: 0.0 Bohr magnetons per cell
- E: -7.141 eV per atom

5.
A plane-wave DFT calculation with GGA-PBE was carried out for Sr3InN3 after structural relaxation.

Unit cell a=7.8489 b=7.8489 c=5.4810 alpha=90.00 beta=90.00 gamma=120.00
Space group P6_3/m (No. 176)
Inequivalent atoms, fractional coordinates:
Sr 0.0695 0.3487 0.2500
In 0.3333 0.6667 0.7500
N 0.0769 0.3803 0.7500

Properties
- Formation energy: -0.58 eV per atom
- Volume: 20.89 Å³ per atom
- Corrected total energy (MP2020 scheme): -5.273 eV per atom
- Total magnetic moment: 0.0 Bohr magnetons per cell
- E: -5.118 eV per atom

6.
A plane-wave DFT calculation with GGA-PBE was carried out for Sr4In2N after structural relaxation.

Unit cell a=5.2781 b=5.2781 c=30.8645 alpha=90.00 beta=90.00 gamma=90.00
Space group I4_1/amd (No. 141, origin choice 2)
Inequivalent atoms, fractional coordinates:
Sr 0.0000 0.2500 0.1250
Sr 0.0000 0.2500 0.2930
In 0.0000 0.2500 0.7836
N 0.0000 0.2500 0.3750

Properties
- Formation energy: -0.54 eV per atom
- Volume: 30.71 Å³ per atom
- Corrected total energy (MP2020 scheme): -3.481 eV per atom
- E: -3.429 eV per atom

7.
A plane-wave DFT calculation with GGA-PBE was carried out for Sr3In3N5 after structural relaxation.

Unit cell a=6.5364 b=7.5440 c=9.2071 alpha=106.28 beta=107.57 gamma=95.16
Space group P-1 (No. 2)
Inequivalent atoms, fractional coordinates:
Sr 0.1529 0.1315 0.1924
Sr 0.1717 0.3667 0.8874
Sr 0.3062 0.9210 0.6006
In 0.2243 0.4483 0.5616
In 0.3486 0.6451 0.2807
In 0.3991 0.8088 0.9649
N 0.0917 0.5907 0.3864
N 0.1814 0.7404 0.0835
N 0.2552 0.0305 0.8767
N 0.3631 0.1944 0.4978
N 0.4893 0.5918 0.7958

Properties
- Formation energy: -0.40 eV per atom
- Volume: 18.54 Å³ per atom
- Corrected total energy (MP2020 scheme): -5.404 eV per atom
- Total magnetic moment: 0.0 Bohr magnetons per cell
- E: -5.240 eV per atom

8.
A plane-wave DFT calculation with GGA-PBE was carried out for Sr3In2N4 after structural relaxation.

Unit cell a=6.2615 b=11.1298 c=9.7600 alpha=90.00 beta=90.00 gamma=90.00
Space group Pnna (No. 52)
Inequivalent atoms, fractional coordinates:
Sr 0.1092 0.1555 0.0887
Sr 0.2500 0.0000 0.4026
In 0.1478 0.2500 0.7500
In 0.2500 0.0000 0.7355
N 0.0159 0.5936 0.3422
N 0.1018 0.6469 0.8810

Properties
- Formation energy: -0.46 eV per atom
- Volume: 18.89 Å³ per atom
- Corrected total energy (MP2020 scheme): -5.344 eV per atom
- Total magnetic moment: 0.0 Bohr magnetons per cell
- E: -5.183 eV per atom

9.
A plane-wave DFT calculation with GGA-PBE was carried out for Sr2InN2 after structural relaxation.

Unit cell a=5.3934 b=12.0241 c=12.9107 alpha=90.00 beta=90.00 gamma=90.00
Space group Cmce (No. 64)
Inequivalent atoms, fractional coordinates:
Sr 0.0000 0.0372 0.1419
Sr 0.0000 0.1410 0.5494
In 0.0000 0.2368 0.3210
N 0.0000 0.0624 0.3609
N 0.0000 0.1538 0.9494

Properties
- Formation energy: -0.55 eV per atom
- Volume: 20.93 Å³ per atom
- Corrected total energy (MP2020 scheme): -5.110 eV per atom
- Total magnetic moment: 0.0 Bohr magnetons per cell
- E: -4.966 eV per atom

10.
A plane-wave DFT calculation with GGA-PBE was carried out for Sr3In2N4 after structural relaxation.

Unit cell a=11.5825 b=9.2217 c=6.1765 alpha=90.00 beta=90.80 gamma=90.00
Space group C2/c (No. 15)
Inequivalent atoms, fractional coordinates:
Sr 0.0000 0.1030 0.2500
Sr 0.1142 0.3628 0.5542
In 0.2044 0.1187 0.8987
N 0.1125 0.3278 0.0096
N 0.1552 0.0868 0.5565

Properties
- Formation energy: -0.49 eV per atom
- Volume: 18.32 Å³ per atom
- Corrected total energy (MP2020 scheme): -5.374 eV per atom
- Total magnetic moment: 0.0 Bohr magnetons per cell
- E: -5.213 eV per atom

11.
A plane-wave DFT calculation with GGA-PBE was carried out for In4Te3N2 after structural relaxation.

Unit cell a=6.9047 b=12.2413 c=11.6172 alpha=90.00 beta=90.00 gamma=90.00
Space group Pnma (No. 62)
Inequivalent atoms, fractional coordinates:
In 0.1238 0.2500 0.1103
In 0.1354 0.0237 0.8936
In 0.2409 0.7500 0.0532
Te 0.0178 0.2500 0.3475
Te 0.0435 0.0577 0.6537
N 0.0290 0.6242 0.9842

Properties
- Formation energy: -0.05 eV per atom
- Volume: 27.28 Å³ per atom
- Corrected total energy (MP2020 scheme): -4.171 eV per atom
- Total magnetic moment: 0.0 Bohr magnetons per cell
- E: -4.091 eV per atom

12.
A plane-wave DFT calculation with GGA-PBE was carried out for Tm3InN after structural relaxation.

Unit cell a=4.7314 b=4.7314 c=4.7314 alpha=90.00 beta=90.00 gamma=90.00
Space group Pm-3m (No. 221)
Inequivalent atoms, fractional coordinates:
Tm 0.0000 0.0000 0.5000
In 0.5000 0.5000 0.5000
N 0.0000 0.0000 0.0000

Properties
- Formation energy: -1.09 eV per atom
- Volume: 21.18 Å³ per atom
- Corrected total energy (MP2020 scheme): -5.994 eV per atom
- E: -5.922 eV per atom

13.
A plane-wave DFT calculation with GGA-PBE was carried out for Y2InN3 after structural relaxation.

Unit cell a=5.9576 b=10.7224 c=12.2889 alpha=90.00 beta=97.68 gamma=90.00
Space group C2/c (No. 15)
Inequivalent atoms, fractional coordinates:
Y 0.1974 0.1131 0.4335
Y 0.2230 0.2081 0.8660
In 0.2165 0.4949 0.3346
N 0.0000 0.0493 0.7500
N 0.0000 0.3613 0.7500
N 0.1168 0.3185 0.3966
N 0.1688 0.1077 0.0214

Properties
- Formation energy: -0.99 eV per atom
- Volume: 16.21 Å³ per atom
- Corrected total energy (MP2020 scheme): -7.768 eV per atom
- Total magnetic moment: 0.0 Bohr magnetons per cell
- E: -7.588 eV per atom